## ZnCd3Se4 (PBE)

Data for a relaxed ZnCd3Se4 crystal.

Total energy after the MP2020 corrections (eV/atom): -3.123
DFT total energy (eV per formula unit): -23.1

Geometry as CIF:
```
data_ZnCd3Se4
_space_group_name_H-M_alt 'P -4 3 m'
_space_group_IT_number 215
_space_group_name_Hall 'P -4 2 3'
_cell_length_a 6.090
_cell_length_b 6.090
_cell_length_c 6.090
_cell_angle_alpha 90.00
_cell_angle_beta 90.00
_cell_angle_gamma 90.00
loop_
_atom_site_label
_atom_site_type_symbol
_atom_site_fract_x
_atom_site_fract_y
_atom_site_fract_z
Zn1 Zn 0.000 0.000 0.000
Cd1 Cd 0.000 0.500 0.500
Se1 Se 0.238 0.238 0.238
```

## Zn3CdSe4 (PBE)

Data for a relaxed Zn3CdSe4 crystal.

Total energy after the MP2020 corrections (eV/atom): -3.245
DFT total energy (eV per formula unit): -24.1

Geometry as CIF:
```
data_Zn3CdSe4
_space_group_name_H-M_alt 'A m m 2'
_space_group_IT_number 38
_space_group_name_Hall 'A 2 -2'
_cell_length_a 4.140
_cell_length_b 8.287
_cell_length_c 11.727
_cell_angle_alpha 90.00
_cell_angle_beta 90.00
_cell_angle_gamma 90.00
loop_
_atom_site_label
_atom_site_type_symbol
_atom_site_fract_x
_atom_site_fract_y
_atom_site_fract_z
Zn1 Zn 0.000 0.000 0.000
Zn2 Zn 0.500 0.249 0.750
Cd1 Cd 0.000 0.000 0.501
Se1 Se 0.000 0.239 0.131
Se2 Se 0.500 0.000 0.363
Se3 Se 0.500 0.000 0.875
```

## Sm13Cd58 (PBE)

Data for a relaxed Sm13Cd58 crystal.

DFT total energy (eV per formula unit): -131.3

Geometry as CIF:
```
data_Sm13Cd58
_space_group_name_H-M_alt 'P 63/m m c'
_space_group_IT_number 194
_space_group_name_Hall '-P 6c 2c'
_cell_length_a 15.9004
_cell_length_b 15.9004
_cell_length_c 15.6120
_cell_angle_alpha 90.00
_cell_angle_beta 90.00
_cell_angle_gamma 120.00
loop_
_atom_site_label
_atom_site_type_symbol
_atom_site_fract_x
_atom_site_fract_y
_atom_site_fract_z
Sm1 Sm 0.0000 0.0000 0.0000
Sm2 Sm 0.0874 0.5437 0.2500
Sm3 Sm 0.1283 0.2566 0.2500
Sm4 Sm 0.2057 0.4114 0.5525
Cd1 Cd 0.0000 0.0000 0.2500
Cd2 Cd 0.0000 0.1984 0.0000
Cd3 Cd 0.0000 0.5000 0.0000
Cd4 Cd 0.0360 0.3647 0.1022
Cd5 Cd 0.0812 0.3572 0.7500
Cd6 Cd 0.0924 0.1848 0.6557
Cd7 Cd 0.1213 0.5606 0.6462
Cd8 Cd 0.2005 0.6003 0.0519
Cd9 Cd 0.2345 0.4689 0.1585
Cd10 Cd 0.2670 0.5340 0.7500
Cd11 Cd 0.3333 0.6667 0.2500
Cd12 Cd 0.3333 0.6667 0.5957
```

## Sm2TlCd (PBE)

Data for a relaxed Sm2TlCd crystal.

DFT total energy (eV per formula unit): -14.2

Geometry as CIF:
```
data_Sm2TlCd
_space_group_name_H-M_alt 'F m -3 m'
_space_group_IT_number 225
_space_group_name_Hall '-F 4 2 3'
_cell_length_a 7.698
_cell_length_b 7.698
_cell_length_c 7.698
_cell_angle_alpha 90.00
_cell_angle_beta 90.00
_cell_angle_gamma 90.00
loop_
_atom_site_label
_atom_site_type_symbol
_atom_site_fract_x
_atom_site_fract_y
_atom_site_fract_z
Sm1 Sm 0.250 0.250 0.250
Tl1 Tl 0.000 0.000 0.000
Cd1 Cd 0.000 0.000 0.500
```

## SmTlCd (PBE)

Data for a relaxed SmTlCd crystal.

DFT total energy (eV per formula unit): -8.9

Geometry as CIF:
```
data_SmTlCd
_space_group_name_H-M_alt 'P 63/m m c'
_space_group_IT_number 194
_space_group_name_Hall '-P 6c 2c'
_cell_length_a 5.0157
_cell_length_b 5.0157
_cell_length_c 7.3878
_cell_angle_alpha 90.00
_cell_angle_beta 90.00
_cell_angle_gamma 120.00
loop_
_atom_site_label
_atom_site_type_symbol
_atom_site_fract_x
_atom_site_fract_y
_atom_site_fract_z
Sm1 Sm 0.0000 0.0000 0.0000
Tl1 Tl 0.3333 0.6667 0.2500
Cd1 Cd 0.3333 0.6667 0.7500
```

## SmZn2Cd (PBE)

Data for a relaxed SmZn2Cd crystal.

DFT total energy (eV per formula unit): -9.5

Geometry as CIF:
```
data_SmZn2Cd
_space_group_name_H-M_alt 'F m -3 m'
_space_group_IT_number 225
_space_group_name_Hall '-F 4 2 3'
_cell_length_a 6.904
_cell_length_b 6.904
_cell_length_c 6.904
_cell_angle_alpha 90.00
_cell_angle_beta 90.00
_cell_angle_gamma 90.00
loop_
_atom_site_label
_atom_site_type_symbol
_atom_site_fract_x
_atom_site_fract_y
_atom_site_fract_z
Sm1 Sm 0.000 0.000 0.000
Zn1 Zn 0.250 0.250 0.250
Cd1 Cd 0.000 0.000 0.500
```

## CdSn3 (PBE)

Data for a relaxed CdSn3 crystal.

DFT total energy (eV per formula unit): -12.7

Geometry as CIF:
```
data_CdSn3
_space_group_name_H-M_alt 'I 4/m m m'
_space_group_IT_number 139
_space_group_name_Hall '-I 4 2'
_cell_length_a 4.532
_cell_length_b 4.532
_cell_length_c 10.539
_cell_angle_alpha 90.00
_cell_angle_beta 90.00
_cell_angle_gamma 90.00
loop_
_atom_site_label
_atom_site_type_symbol
_atom_site_fract_x
_atom_site_fract_y
_atom_site_fract_z
Cd1 Cd 0.000 0.000 0.000
Sn1 Sn 0.000 0.000 0.500
Sn2 Sn 0.000 0.500 0.250
```

## CdSn3 (PBE)

Data for a relaxed CdSn3 crystal.

DFT total energy (eV per formula unit): -12.7

Geometry as CIF:
```
data_CdSn3
_space_group_name_H-M_alt 'P 63/m m c'
_space_group_IT_number 194
_space_group_name_Hall '-P 6c 2c'
_cell_length_a 6.7952
_cell_length_b 6.7952
_cell_length_c 5.4531
_cell_angle_alpha 90.00
_cell_angle_beta 90.00
_cell_angle_gamma 120.00
loop_
_atom_site_label
_atom_site_type_symbol
_atom_site_fract_x
_atom_site_fract_y
_atom_site_fract_z
Cd1 Cd 0.3333 0.6667 0.2500
Sn1 Sn 0.1673 0.3346 0.7500
```

no.,energy of formation from the pure elements (meV/atom)
1,-872
2,-910
3,-231
4,-359
5,-315
6,-331
7,72
8,66